# Mn2Sb

An optimized crystal structure of Mn2Sb (GGA-PBE, the Materials Project database).

Computed properties:
uncorrected energy = -0.267 Ha/atom
formation energy from the elements = 0.145 eV/atom
V = 97.5 Å³/cell

Lattice parameters (Å, degrees): 4.5275 4.5275 5.4920 90.00 90.00 120.00
With the nearest neighbours (Å) after each atom.
Space group P6_3/mmc (No. 194)
Unique sites:
Mn 0.0000 0.0000 0.0000 (multiplicity 2)  8 Mn 2.75-2.95, 6 Sb 2.95
Mn 0.3333 0.6667 0.2500 (multiplicity 2)  5 Sb 2.61-2.75
Sb 0.3333 0.6667 0.7500 (multiplicity 2)  5 Mn 2.61-2.75